1.
6
Lattice="4.045 0.000 0.000 0.000 4.045 0.000 0.000 0.000 8.001" Properties=species:S:1:pos:R:3 comment="CeBrO, relaxed, DFT r²SCAN" vol_a3_per_atom=21.82 formation_enthalpy_0k_ev_per_atom=-3.20 e_tot_ev_per_cell=-119.4 space_group=P4/nmm pbc="T T T"
Br 2.023 0.000 2.774
Br 0.000 2.023 5.227
Ce 0.000 2.023 1.217
Ce 2.023 0.000 6.784
O 2.023 2.023 0.000
O 0.000 0.000 0.000



2.
30
Lattice="1.032 2.424 -4.069 5.602 2.450 -0.008 6.570 -9.679 -4.099" Properties=species:S:1:pos:R:3 comment="Ca2MgC3O9, relaxed, DFT r²SCAN" vol_a3_per_atom=11.04 formation_enthalpy_0k_ev_per_atom=-2.35 e_above_lowest_polymorph_mev_per_atom=0 e_tot_ev_per_cell=-274.0 space_group=C2/c pbc="T T T"
Mg 6.612 0.023 -4.084
Mg 9.897 -4.817 -6.134
Ca 6.562 -9.519 -4.184
Ca 3.378 0.001 -2.208
Ca 6.599 -4.988 -4.007
Ca 4.245 -2.405 -5.953
O 4.824 -3.628 -3.266
O 4.736 -1.914 -1.824
O 1.739 1.680 -2.004
O 1.767 -1.200 -0.826
O 7.982 1.595 -4.206
O 10.764 -4.424 -4.275
O 11.416 -3.722 -6.981
O 8.379 -5.912 -5.286
O 11.045 -6.574 -6.229
O 8.750 -3.059 -6.039
O 5.884 -4.085 -6.156
O 7.996 -1.180 -5.111
O 5.243 -1.550 -3.963
O 7.999 -7.633 -3.924
O 7.960 -3.090 -3.946
O 5.265 3.135 -4.223
O 5.229 1.225 -3.058
O 7.458 -0.465 -2.275
C 8.257 -7.181 -5.109
C 11.538 -2.452 -7.158
C 8.233 -2.449 -5.023
C 4.992 2.494 -3.146
C 4.958 -2.374 -3.006
C 7.235 -0.004 -1.094



3.
4
Lattice="-3.558 1.211 -2.877 0.662 -3.971 -2.489 -3.051 -2.274 2.816" Properties=species:S:1:pos:R:3 comment="SmSn3, relaxed, DFT r²SCAN" vol_a3_per_atom=26.51 formation_enthalpy_0k_ev_per_atom=-0.47 e_tot_ev_per_cell=-105.8 space_group=Pm-3m pbc="T T T"
Sn -3.304 -0.532 -0.031
Sn -1.448 -1.380 -2.683
Sn -1.194 -3.122 0.163
Sm 0.000 0.000 0.000



4.
80
Lattice="-4.639 -1.394 -2.543 -1.992 -2.553 4.513 -12.701 26.324 8.989" Properties=species:S:1:pos:R:3 comment="Na5Nd11Ti10Mn6O48, relaxed, DFT r²SCAN" vol_a3_per_atom=11.60 formation_enthalpy_0k_ev_per_atom=-3.19 e_tot_ev_per_cell=-1100.6 space_group=P1 pbc="T T T"
O -8.612 8.405 3.021
O -17.889 23.040 10.489
O -4.302 0.699 3.577
O -6.861 10.177 5.876
O -15.090 21.437 7.385
O -13.347 17.748 6.290
O -3.532 0.785 -0.817
O -12.449 21.806 8.187
O -6.930 0.457 2.765
O -13.009 20.513 5.873
O -12.317 17.857 9.286
O -11.428 9.800 5.971
O -12.479 12.218 5.056
O -15.908 21.530 11.808
O -10.024 16.751 8.118
O -10.181 11.163 4.038
O -9.489 8.434 7.303
O -6.030 8.669 3.715
O -12.654 15.011 9.544
O -4.784 6.052 2.775
O -6.168 -0.966 0.577
O -7.013 4.581 1.804
O -13.182 23.355 10.430
O -5.445 1.800 0.799
O -10.075 7.055 4.995
O -9.146 11.279 7.053
O -7.954 12.627 5.011
O -11.777 14.981 5.265
O -9.870 13.922 3.636
O -16.551 24.428 8.428
O -15.659 18.775 7.278
O -8.265 3.225 3.735
O -10.622 13.858 8.054
O -14.606 16.371 8.218
O -9.312 5.643 2.816
O -9.196 15.242 5.954
O -2.872 2.082 1.490
O -5.980 4.702 4.814
O -3.696 3.595 3.643
O -13.243 13.628 7.238
O -16.445 20.065 9.468
O -13.754 20.464 10.314
O -7.454 7.284 5.814
O -11.117 19.205 7.254
O -1.666 -0.564 0.568
O -6.703 7.345 1.399
O -2.945 -1.970 2.671
O -6.333 1.851 5.069
Nd -5.941 5.762 7.085
Nd -4.004 -0.205 1.382
Nd -5.838 2.840 2.890
Nd -12.255 18.917 11.579
Nd -9.004 9.426 5.121
Nd -2.772 -0.809 4.873
Nd -9.108 12.337 9.324
Nd -12.167 16.003 7.363
Nd -13.507 19.541 8.084
Nd -10.349 12.956 5.858
Nd -7.182 6.378 3.619
Na -7.056 3.492 -0.689
Na -15.153 22.743 9.401
Na -13.382 16.630 3.778
Na -10.211 10.057 1.528
Na -18.534 20.746 10.390
Ti -18.192 23.637 8.626
Ti -4.132 5.256 4.456
Ti -10.315 15.821 4.371
Ti -3.987 2.658 -0.102
Ti -7.298 11.835 6.692
Ti -7.147 9.247 2.133
Ti -15.105 17.019 6.399
Ti -16.960 23.069 12.120
Ti -15.417 19.912 11.037
Ti -16.667 20.512 7.552
Mn -7.228 0.642 0.839
Mn -8.691 12.438 3.212
Mn -13.838 16.464 9.967
Mn -5.525 5.860 0.978
Mn -13.554 13.806 5.311
Mn -10.388 7.232 3.070



5.
12
Lattice="4.311 0.000 0.000 0.000 6.832 0.000 0.000 0.000 7.725" Properties=species:S:1:pos:R:3 comment="YGaIr, relaxed, DFT r²SCAN" vol_a3_per_atom=18.96 formation_enthalpy_0k_ev_per_atom=-0.97 e_tot_ev_per_cell=-348.0 space_group=Pnma pbc="T T T"
Ga 3.233 1.072 0.535
Ga 1.078 2.344 4.397
Ga 3.233 4.488 3.328
Ga 1.078 5.761 7.190
Y 1.078 6.686 2.404
Y 3.233 3.563 6.266
Y 1.078 3.270 1.459
Y 3.233 0.147 5.322
Ir 1.078 1.558 6.879
Ir 3.233 1.858 3.016
Ir 1.078 4.974 4.709
Ir 3.233 5.274 0.847



6.
14
Lattice="5.687 0.000 3.283 1.896 5.361 3.283 0.000 0.000 6.566" Properties=species:S:1:pos:R:3 comment="Ag2MoO4, relaxed, DFT r²SCAN" vol_a3_per_atom=14.30 formation_enthalpy_0k_ev_per_atom=-1.33 e_tot_ev_per_cell=-204.0 space_group=Fd-3m pbc="T T T"
Ag 3.791 2.681 6.566
Ag 0.948 2.681 4.925
Ag 2.843 0.000 4.925
Ag 3.791 2.681 3.283
O 5.797 4.099 6.376
O 2.623 4.099 8.208
O 4.959 1.262 4.925
O 1.785 1.262 6.757
O 1.785 1.262 3.092
O 4.739 1.107 8.208
O 5.797 4.099 10.040
O 2.843 4.255 4.925
Mo 6.634 4.691 11.491
Mo 0.948 0.670 1.642



7.
12
Lattice="4.449 0.000 0.000 0.000 5.543 0.000 0.000 0.000 9.906" Properties=species:S:1:pos:R:3 comment="Sr2Al5Ag5, relaxed, DFT r²SCAN" vol_a3_per_atom=20.36 formation_enthalpy_0k_ev_per_atom=-0.28 e_tot_ev_per_cell=-174.1 space_group=Pmmm pbc="T T T"
Ag 0.000 0.000 1.667
Ag 0.000 0.000 8.239
Ag 2.224 2.772 4.953
Ag 0.000 2.772 3.162
Ag 0.000 2.772 6.744
Al 2.224 0.000 0.000
Al 2.224 4.172 2.493
Al 2.224 1.371 7.414
Al 2.224 1.371 2.493
Al 2.224 4.172 7.414
Sr 0.000 2.772 0.000
Sr 0.000 0.000 4.953



8.
4
Lattice="-6.796 0.058 -0.967 -5.635 -3.729 -1.211 -6.126 -2.029 2.341" Properties=species:S:1:pos:R:3 comment="Y2PS, relaxed, DFT r²SCAN" vol_a3_per_atom=22.06 formation_enthalpy_0k_ev_per_atom=-2.12 e_tot_ev_per_cell=-66.2 space_group=R-3m pbc="T T T"
Y -13.972 -4.292 0.123
Y -4.585 -1.408 0.040
P -9.279 -2.850 0.082
S 0.000 0.000 0.000



9.
5
Lattice="4.179 0.000 0.000 0.000 4.179 0.000 0.000 0.000 4.179" Properties=species:S:1:pos:R:3 comment="TbBRh3, relaxed, DFT r²SCAN" vol_a3_per_atom=14.60 formation_enthalpy_0k_ev_per_atom=-0.85 e_tot_ev_per_cell=-115.2 space_group=Pm-3m pbc="T T T"
Rh 2.090 2.090 0.000
Rh 2.090 0.000 2.090
Rh 0.000 2.090 2.090
B 2.090 2.090 2.090
Tb 0.000 0.000 0.000



10.
40
Lattice="5.319 3.985 7.019 -8.273 -3.336 3.726 4.905 -7.302 -4.009" Properties=species:S:1:pos:R:3 comment="La3Sb5O12, relaxed, DFT r²SCAN" vol_a3_per_atom=17.39 formation_enthalpy_0k_ev_per_atom=-2.41 e_tot_ev_per_cell=-675.4 space_group=I-43m pbc="T T T"
O 2.992 -5.180 -0.831
O -4.031 -3.067 3.291
O -1.354 -6.760 1.160
O -0.039 -1.693 3.923
O 5.636 -2.996 2.854
O -4.056 -6.582 0.868
O -0.120 1.435 7.645
O -2.466 -0.457 3.859
O 2.435 -5.553 2.294
O 3.213 0.835 5.046
O -1.412 -4.395 4.552
O -1.140 -0.956 6.831
O -0.454 -7.666 -1.247
O -2.587 -3.752 0.640
O -0.119 -3.879 1.787
O 3.935 -2.384 0.102
O -0.032 -4.521 -0.860
O 4.016 -0.196 2.240
O -3.835 -0.566 6.745
O 0.169 0.962 4.497
O 2.514 -2.461 2.425
O 6.790 -3.764 0.509
O 6.903 -0.678 3.523
O 2.556 -2.258 5.513
La -2.319 -2.335 5.302
La 1.079 -0.505 6.125
La 0.872 -6.149 0.611
La -2.422 -5.157 2.545
La 4.374 -1.496 4.192
La 4.270 -4.318 1.435
Sb -4.123 -1.663 1.857
Sb 2.445 -3.640 -1.998
Sb -2.131 0.468 7.752
Sb 7.376 -2.393 2.172
Sb -2.430 -7.675 -0.204
Sb 0.979 -3.337 3.379
Sb 2.848 -0.924 0.839
Sb -0.823 0.181 2.993
Sb -0.938 -2.963 -0.079
Sb 2.651 1.986 3.499



11.
32
Lattice="7.251 0.000 0.000 0.000 7.730 0.000 0.000 0.000 11.529" Properties=species:S:1:pos:R:3 comment="Y2HfS5, relaxed, DFT r²SCAN" vol_a3_per_atom=20.19 formation_enthalpy_0k_ev_per_atom=-2.16 e_tot_ev_per_cell=-572.8 space_group=Pnma pbc="T T T"
S 3.236 5.797 5.806
S 4.995 1.932 2.383
S 6.861 1.932 11.487
S 4.835 5.797 2.083
S 2.256 5.797 9.146
S 4.787 7.453 10.458
S 6.090 4.141 4.694
S 2.464 3.588 1.071
S 6.042 5.797 7.848
S 4.787 4.141 10.458
S 6.090 7.453 4.694
S 5.882 1.932 8.147
S 1.369 5.797 3.382
S 2.417 1.932 9.446
S 0.390 5.797 0.042
S 1.161 3.588 6.835
S 2.464 0.277 1.071
S 1.209 1.932 3.681
S 4.015 1.932 5.723
S 1.161 0.277 6.835
Y 3.785 0.019 7.826
Y 7.092 0.019 2.061
Y 0.159 3.884 9.468
Y 0.159 7.711 9.468
Y 3.466 3.884 3.704
Y 3.785 3.846 7.826
Y 7.092 3.846 2.061
Y 3.466 7.711 3.704
Hf 4.170 1.932 11.466
Hf 6.707 1.932 5.701
Hf 3.081 5.797 0.063
Hf 0.544 5.797 5.828



12.
8
Lattice="3.935 0.000 0.000 0.000 3.874 -0.949 0.000 -0.013 8.331" Properties=species:S:1:pos:R:3 comment="HoCoSi2, relaxed, DFT r²SCAN" vol_a3_per_atom=15.87 formation_enthalpy_0k_ev_per_atom=-0.76 e_tot_ev_per_cell=-133.4 space_group=Cmcm pbc="T T T"
Si 2.951 2.898 3.450
Si 0.984 2.102 0.200
Si 0.984 0.963 3.932
Si 2.951 1.759 7.182
Co 0.984 2.625 2.332
Co 2.951 1.237 5.050
Ho 0.984 3.444 5.679
Ho 2.951 0.417 1.703



13.
36
Lattice="7.368 0.000 0.000 0.000 10.327 0.000 0.000 0.000 13.665" Properties=species:S:1:pos:R:3 comment="Rb2InCl5O, relaxed, DFT r²SCAN" vol_a3_per_atom=28.88 formation_enthalpy_0k_ev_per_atom=-1.36 e_tot_ev_per_cell=-397.7 space_group=Pnma pbc="T T T"
Rb 1.426 0.125 4.987
Rb 2.258 0.125 11.820
Rb 5.110 5.288 1.846
Rb 1.426 5.039 4.987
Rb 2.258 5.039 11.820
Rb 5.110 10.202 1.846
Rb 5.942 5.288 8.678
Rb 5.942 10.202 8.678
Cl 5.055 0.128 5.346
Cl 5.996 0.128 12.178
Cl 3.233 2.582 3.503
Cl 1.372 5.291 1.487
Cl 0.451 2.582 10.336
Cl 6.878 2.582 3.231
Cl 3.404 7.745 13.564
Cl 4.174 2.582 10.063
Cl 4.135 7.745 10.162
Cl 2.312 5.291 8.320
Cl 3.194 7.745 3.602
Cl 0.490 7.745 10.435
Cl 3.964 2.582 0.101
Cl 2.312 10.199 8.320
Cl 0.280 7.745 6.731
Cl 1.372 10.199 1.487
Cl 5.055 5.035 5.346
Cl 5.996 5.035 12.178
Cl 7.088 2.582 6.934
Cl 6.917 7.745 3.330
O 0.384 2.582 12.730
O 3.300 2.582 5.898
O 4.068 7.745 7.767
O 6.984 7.745 0.935
In 5.672 2.582 11.985
In 5.380 2.582 5.152
In 1.696 7.745 1.680
In 1.988 7.745 8.513



14.
4
Lattice="0.000 3.901 3.901 3.901 0.000 3.901 3.901 3.901 0.000" Properties=species:S:1:pos:R:3 comment="Ce2HgPb, relaxed, DFT r²SCAN" vol_a3_per_atom=29.69 formation_enthalpy_0k_ev_per_atom=-0.55 e_tot_ev_per_cell=-169.5 space_group=Fm-3m pbc="T T T"
Hg 3.901 3.901 3.901
Ce 1.951 1.951 1.951
Ce 5.852 5.852 5.852
Pb 0.000 0.000 0.000



15.
6
Lattice="4.140 0.000 0.000 0.000 4.140 0.000 0.000 0.000 8.544" Properties=species:S:1:pos:R:3 comment="ThAsSe, relaxed, DFT r²SCAN" vol_a3_per_atom=24.41 formation_enthalpy_0k_ev_per_atom=-1.64 e_tot_ev_per_cell=-214.9 space_group=P4/nmm pbc="T T T"
Se 3.105 3.105 3.155
Se 1.035 1.035 5.389
Th 3.105 3.105 6.295
Th 1.035 1.035 2.249
As 3.105 1.035 0.000
As 1.035 3.105 0.000



16.
12
Lattice="-2.403 3.052 3.109 -3.894 -3.097 0.030 2.709 -3.355 5.388" Properties=species:S:1:pos:R:3 comment="SiO2, relaxed, DFT r²SCAN" vol_a3_per_atom=14.24 formation_enthalpy_0k_ev_per_atom=-3.03 e_tot_ev_per_cell=-119.3 space_group=P4_32_12 pbc="T T T"
O -1.462 -0.232 2.200
O -1.512 -5.154 5.789
O -3.290 -0.704 4.027
O -2.881 1.750 3.139
O 0.070 -3.151 5.233
O -2.494 -2.711 5.595
O -1.693 -3.927 3.426
O -1.090 0.534 4.699
Si -3.704 -1.713 5.215
Si -2.178 0.349 3.522
Si -1.410 -3.748 5.005
Si -1.239 -0.009 0.618